P:
This record from the Materials Project describes a geometry-optimized Ho2CuO4 structure. The functional is PBE.

Cell lengths 6.447, 6.447, 6.447 Å; angles 145.14, 145.14, 50.13 degrees
Atoms (fractional coordinates):
1 Cu 0.000 0.000 0.000
2 Ho 0.348 0.348 0.000
3 Ho 0.652 0.652 0.000
4 O 0.250 0.750 0.500
5 O 0.500 0.000 0.500
6 O 0.000 0.500 0.500
7 O 0.750 0.250 0.500

The magnetic moment is 0.0 μB per cell. As for the space group: I4/mmm (139).

---

Q:
This record from the Materials Project describes a geometry-optimized Ho2CuO4 structure. The functional is PBE.

Cell lengths 6.520, 6.520, 5.479 Å; angles 90.00, 90.00, 130.27 degrees
Atoms (fractional coordinates):
1 O 0.489 0.989 0.750
2 O 0.805 0.805 0.695
3 O 0.695 0.695 0.195
4 O 0.195 0.195 0.305
5 O 0.989 0.489 0.750
6 O 0.305 0.305 0.805
7 O 0.011 0.511 0.250
8 O 0.511 0.011 0.250
9 Cu 0.000 0.000 0.000
10 Cu 0.500 0.500 0.500
11 Ho 0.345 0.655 0.000
12 Ho 0.845 0.155 0.500
13 Ho 0.655 0.345 0.000
14 Ho 0.155 0.845 0.500

The magnetic moment is 0.0 μB per cell. As for the space group: Cmce (64).

---

Energetically preferred structure: Q | next structure: +21 meV/atom

---

P:
This record from the Materials Project describes a geometry-optimized Sr2HoCu3Pb2O8 structure. The functional is PBE.

Cell lengths 3.829, 3.829, 15.992 Å; angles 90.00, 90.00, 90.00 degrees
Atoms (fractional coordinates):
1 Sr 0.000 0.000 0.221
2 Sr 0.000 0.000 0.779
3 Cu 0.500 0.500 0.897
4 Cu 0.500 0.500 0.103
5 Cu 0.000 0.000 0.500
6 O 0.000 0.500 0.910
7 O 0.500 0.000 0.910
8 O 0.500 0.500 0.749
9 O 0.500 0.000 0.090
10 O 0.000 0.000 0.384
11 O 0.000 0.000 0.616
12 O 0.000 0.500 0.090
13 O 0.500 0.500 0.251
14 Pb 0.500 0.500 0.613
15 Pb 0.500 0.500 0.387
16 Ho 0.000 0.000 0.000

The magnetic moment is 0.0 μB per cell. As for the space group: P4/mmm (123).

---

Q:
This record from the Materials Project describes a geometry-optimized Sr2HoCu3Pb2O8 structure. The functional is PBE.

Cell lengths 5.455, 5.422, 15.930 Å; angles 89.51, 90.00, 90.00 degrees
Atoms (fractional coordinates):
1 O 0.750 0.748 0.090
2 O 0.442 0.453 0.385
3 O 0.250 0.252 0.910
4 O 0.750 0.752 0.908
5 O 0.250 0.748 0.092
6 O 0.250 0.248 0.092
7 O 0.491 0.007 0.749
8 O 0.509 0.993 0.251
9 O 0.250 0.752 0.910
10 O 0.058 0.953 0.385
11 O 0.750 0.248 0.090
12 O 0.942 0.047 0.615
13 O 0.009 0.507 0.749
14 O 0.750 0.252 0.908
15 O 0.991 0.493 0.251
16 O 0.558 0.547 0.615
17 Sr 0.001 0.994 0.220
18 Sr 0.499 0.494 0.220
19 Sr 0.999 0.006 0.780
20 Sr 0.501 0.506 0.780
21 Cu 0.001 0.502 0.897
22 Cu 0.500 0.500 0.500
23 Cu 0.999 0.498 0.103
24 Cu 0.499 0.002 0.897
25 Cu 0.000 0.000 0.500
26 Cu 0.501 0.998 0.103
27 Ho 0.500 0.500 0.000
28 Ho 0.000 0.000 0.000
29 Pb 0.995 0.496 0.612
30 Pb 0.505 0.996 0.612
31 Pb 0.495 0.004 0.388
32 Pb 0.005 0.504 0.388

The magnetic moment is 0.0 μB per cell. As for the space group: P2_1/c (14).

---

Energetically preferred structure: Q | next structure: +6 meV/atom

---

P:
This record from the Materials Project describes a geometry-optimized HoCu3S3 structure. The functional is PBE.

Cell lengths 7.436, 7.436, 7.436 Å; angles 53.67, 53.67, 53.67 degrees
Atoms (fractional coordinates):
1 S 0.582 0.917 0.250
2 S 0.083 0.750 0.418
3 S 0.418 0.083 0.750
4 S 0.917 0.250 0.582
5 S 0.750 0.418 0.083
6 S 0.250 0.582 0.917
7 Cu 0.623 0.287 0.958
8 Cu 0.377 0.713 0.042
9 Cu 0.287 0.958 0.623
10 Cu 0.713 0.042 0.377
11 Cu 0.958 0.623 0.287
12 Cu 0.042 0.377 0.713
13 Ho 0.167 0.167 0.167
14 Ho 0.833 0.833 0.833

As for the space group: R-3 (148).

---

Q:
This record from the Materials Project describes a geometry-optimized HoCu3S3 structure. The functional is PBE.

Cell lengths 3.888, 3.888, 19.974 Å; angles 90.00, 90.00, 120.00 degrees
Atoms (fractional coordinates):
1 Cu 0.667 0.333 0.592
2 Cu 0.333 0.667 0.046
3 Cu 0.333 0.667 0.712
4 Cu 0.667 0.333 0.954
5 Cu 0.333 0.667 0.408
6 Cu 0.667 0.333 0.288
7 S 0.333 0.667 0.598
8 S 0.667 0.333 0.078
9 S 0.333 0.667 0.922
10 S 0.333 0.667 0.242
11 S 0.667 0.333 0.402
12 S 0.667 0.333 0.758
13 Ho 0.000 0.000 0.835
14 Ho 0.000 0.000 0.165

The magnetic moment is 0.0 μB per cell. As for the space group: P-3m1 (164).

---

Energetically preferred structure: P | next structure: +143 meV/atom

---

P:
This record from the Materials Project describes a geometry-optimized In9Cu11 structure. The functional is PBE.

Cell lengths 4.399, 7.530, 10.403 Å; angles 89.39, 90.00, 90.00 degrees
Atoms (fractional coordinates):
1 In 0.500 0.859 0.112
2 In 0.000 0.385 0.623
3 In 0.500 0.802 0.658
4 In 0.000 0.615 0.377
5 In 0.500 0.198 0.342
6 In 0.000 0.306 0.141
7 In 0.000 0.000 0.500
8 In 0.000 0.694 0.859
9 In 0.500 0.141 0.888
10 Cu 0.000 0.970 0.249
11 Cu 0.000 0.342 0.885
12 Cu 0.500 0.827 0.380
13 Cu 0.500 0.473 0.763
14 Cu 0.500 0.173 0.620
15 Cu 0.000 0.000 0.000
16 Cu 0.500 0.527 0.237
17 Cu 0.000 0.658 0.115
18 Cu 0.500 0.500 0.000
19 Cu 0.000 0.030 0.751
20 Cu 0.500 0.500 0.500

As for the space group: P2/m (10).

---

Q:
This record from the Materials Project describes a geometry-optimized In9Cu11 structure. The functional is PBE.

Cell lengths 4.542, 6.846, 12.127 Å; angles 102.89, 79.21, 109.37 degrees
Atoms (fractional coordinates):
1 In 0.884 0.262 0.494
2 In 0.126 0.738 0.487
3 In 0.427 0.586 0.731
4 In 0.073 0.914 0.769
5 In 0.374 0.762 0.013
6 In 0.750 0.250 0.750
7 In 0.921 0.070 0.228
8 In 0.579 0.430 0.272
9 In 0.616 0.238 0.006
10 Cu 0.775 0.664 0.115
11 Cu 0.725 0.836 0.385
12 Cu 0.276 0.159 0.608
13 Cu 0.356 0.096 0.383
14 Cu 0.499 0.499 0.500
15 Cu 0.250 0.750 0.250
16 Cu 0.858 0.609 0.893
17 Cu 0.144 0.404 0.117
18 Cu 0.001 0.001 0.000
19 Cu 0.224 0.341 0.892
20 Cu 0.642 0.891 0.607

The magnetic moment is 0.0 μB per cell. As for the space group: C2/m (12).

---

Energetically preferred structure: P | next structure: +10 meV/atom